1.
YSnRh2 | Materials Project | GGA-PBE | optimized geometry; symmetry = Fm-3m, No. 225; formation energy = -0.78 eV/atom
1.0
-1.744 2.166 3.809
-3.704 2.889 -0.419
-4.197 -1.281 1.727
Y Sn Rh
1 1 2
Direct
0.000 0.000 0.000
0.500 0.500 0.500
0.250 0.250 0.250
0.750 0.750 0.750

=====

2.
Y2Sn5Rh3 | Materials Project | GGA-PBE | optimized geometry; symmetry = Cmc2_1, No. 36; formation energy = -0.71 eV/atom
1.0
-2.666 10.349 8.232
0.984 -7.465 -11.193
-6.637 -2.653 1.186
Y Sn Rh
4 10 6
Direct
0.476 0.524 0.238
0.172 0.828 0.257
0.524 0.476 0.738
0.828 0.172 0.757
0.705 0.295 0.549
0.597 0.403 0.109
0.048 0.952 0.402
0.952 0.048 0.902
0.710 0.290 0.977
0.290 0.710 0.477
0.295 0.705 0.049
0.880 0.120 0.234
0.120 0.880 0.734
0.403 0.597 0.609
0.394 0.606 0.983
0.777 0.223 0.265
0.223 0.777 0.765
0.050 0.950 0.018
0.606 0.394 0.483
0.950 0.050 0.518

=====

Question: What is the formation energy in the second record?
Answer: -0.71 eV/atom

=====

Repeat the second record exactly.
Y2Sn5Rh3 | Materials Project | GGA-PBE | optimized geometry; symmetry = Cmc2_1, No. 36; formation energy = -0.71 eV/atom
1.0
-2.666 10.349 8.232
0.984 -7.465 -11.193
-6.637 -2.653 1.186
Y Sn Rh
4 10 6
Direct
0.476 0.524 0.238
0.172 0.828 0.257
0.524 0.476 0.738
0.828 0.172 0.757
0.705 0.295 0.549
0.597 0.403 0.109
0.048 0.952 0.402
0.952 0.048 0.902
0.710 0.290 0.977
0.290 0.710 0.477
0.295 0.705 0.049
0.880 0.120 0.234
0.120 0.880 0.734
0.403 0.597 0.609
0.394 0.606 0.983
0.777 0.223 0.265
0.223 0.777 0.765
0.050 0.950 0.018
0.606 0.394 0.483
0.950 0.050 0.518